(1)
# NaMnPCO7, optimized geometry, DFT GGA+U
data_NaMnPCO7
_cell_length_a 10.301
_cell_length_b 6.244
_cell_length_c 10.439
_cell_angle_alpha 90.00
_cell_angle_beta 118.45
_cell_angle_gamma 90.00
_symmetry_space_group_name_H-M 'P 1 21/c 1'
_symmetry_Int_Tables_number 14
_symmetry_space_group_name_Hall '-P 2ybc'
loop_
_atom_site_label
_atom_site_type_symbol
_atom_site_fract_x
_atom_site_fract_y
_atom_site_fract_z
Na1 Na 0.241 0.030 0.494
Mn1 Mn 0.342 0.748 0.312
P1 P 0.433 0.250 0.326
C1 C 0.077 0.741 0.653
O1 O 0.057 0.237 0.929
O2 O 0.141 0.740 0.797
O3 O 0.179 0.749 0.609
O4 O 0.328 0.058 0.800
O5 O 0.333 0.057 0.313
O6 O 0.426 0.749 0.527
O7 O 0.476 0.249 0.201
# Total moment = 0.27 μB/atom
# Volume = 13.42 Å³ per atom
# DFT total energy = -308.7 eV/cell
# Calculated formation energy = -2172 meV/atom
# Energy relative to the lowest polymorph listed for this composition = 0.11 eV/f.u.
# Total energy after the MP2020 corrections = -7.605 eV/atom

(2)
# NaMnPCO7, optimized geometry, DFT GGA+U
data_NaMnPCO7
_cell_length_a 8.131
_cell_length_b 8.146
_cell_length_c 9.161
_cell_angle_alpha 91.36
_cell_angle_beta 91.49
_cell_angle_gamma 100.67
_symmetry_space_group_name_H-M 'P -1'
_symmetry_Int_Tables_number 2
_symmetry_space_group_name_Hall '-P 1'
loop_
_atom_site_label
_atom_site_type_symbol
_atom_site_fract_x
_atom_site_fract_y
_atom_site_fract_z
Na1 Na 0.146 0.101 0.255
Na2 Na 0.150 0.604 0.745
Mn1 Mn 0.239 0.988 0.845
Mn2 Mn 0.274 0.522 0.160
P1 P 0.017 0.269 0.934
P2 P 0.485 0.237 0.067
C1 C 0.240 0.486 0.421
C2 C 0.263 0.008 0.582
O1 O 0.059 0.805 0.923
O2 O 0.075 0.132 0.837
O3 O 0.111 0.668 0.168
O4 O 0.144 0.392 0.316
O5 O 0.148 0.897 0.647
O6 O 0.164 0.415 0.975
O7 O 0.222 0.466 0.552
O8 O 0.276 0.019 0.449
O9 O 0.339 0.089 0.026
O10 O 0.352 0.600 0.360
O11 O 0.359 0.104 0.681
O12 O 0.381 0.823 0.835
O13 O 0.417 0.359 0.172
O14 O 0.443 0.685 0.073
# Total moment = 0.27 μB/atom
# Volume = 13.54 Å³ per atom
# DFT total energy = -308.7 eV/cell
# Calculated formation energy = -2172 meV/atom
# Energy relative to the lowest polymorph listed for this composition = 0.11 eV/f.u.
# Total energy after the MP2020 corrections = -7.605 eV/atom

(3)
# NaMnPCO7, optimized geometry, DFT GGA+U
data_NaMnPCO7
_cell_length_a 10.493
_cell_length_b 12.552
_cell_length_c 10.302
_cell_angle_alpha 90.00
_cell_angle_beta 118.53
_cell_angle_gamma 90.00
_symmetry_space_group_name_H-M 'C 1 m 1'
_symmetry_Int_Tables_number 8
_symmetry_space_group_name_Hall 'C -2y'
loop_
_atom_site_label
_atom_site_type_symbol
_atom_site_fract_x
_atom_site_fract_y
_atom_site_fract_z
Na1 Na 0.000 0.125 0.000
Na2 Na 0.017 0.145 0.523
Mn1 Mn 0.189 0.500 0.421
Mn2 Mn 0.205 0.000 0.427
Mn3 Mn 0.321 0.250 0.109
P1 P 0.182 0.251 0.334
P2 P 0.332 0.000 0.194
P3 P 0.337 0.500 0.202
C1 C 0.160 0.256 0.844
C2 C 0.353 0.500 0.685
C3 C 0.358 0.000 0.694
O1 O 0.035 0.250 0.193
O2 O 0.077 0.257 0.711
O3 O 0.119 0.256 0.947
O4 O 0.198 0.154 0.435
O5 O 0.204 0.347 0.437
O6 O 0.208 0.000 0.239
O7 O 0.212 0.500 0.624
O8 O 0.213 0.000 0.626
O9 O 0.215 0.500 0.245
O10 O 0.303 0.097 0.091
O11 O 0.303 0.255 0.907
O12 O 0.306 0.252 0.291
O13 O 0.328 0.404 0.102
O14 O 0.397 0.500 0.583
O15 O 0.404 0.000 0.595
O16 O 0.436 0.000 0.828
O17 O 0.438 0.500 0.820
O18 O 0.480 0.000 0.332
O19 O 0.484 0.500 0.347
# Total moment = 0.27 μB/atom
# Volume = 13.55 Å³ per atom
# DFT total energy = -616.5 eV/cell
# Calculated formation energy = -2161 meV/atom
# Energy relative to the lowest polymorph listed for this composition = 0.23 eV/f.u.
# Total energy after the MP2020 corrections = -7.594 eV/atom

(4)
# Na5Mn2P2C2O14, optimized geometry, DFT GGA+U
data_Na5Mn2P2C2O14
_cell_length_a 5.203
_cell_length_b 6.845
_cell_length_c 9.017
_cell_angle_alpha 90.00
_cell_angle_beta 90.32
_cell_angle_gamma 90.00
_symmetry_space_group_name_H-M 'P 1 m 1'
_symmetry_Int_Tables_number 6
_symmetry_space_group_name_Hall 'P -2y'
loop_
_atom_site_label
_atom_site_type_symbol
_atom_site_fract_x
_atom_site_fract_y
_atom_site_fract_z
Na1 Na 0.000 0.000 0.000
Na2 Na 0.005 0.256 0.671
Na3 Na 0.515 0.243 0.175
Mn1 Mn 0.539 0.000 0.560
Mn2 Mn 0.980 0.500 0.275
P1 P 0.060 0.000 0.334
P2 P 0.469 0.500 0.500
C1 C 0.035 0.500 0.998
C2 C 0.494 0.000 0.858
O1 O 0.039 0.500 0.860
O2 O 0.167 0.500 0.465
O3 O 0.236 0.500 0.086
O4 O 0.288 0.000 0.775
O5 O 0.359 0.000 0.347
O6 O 0.475 0.000 0.001
O7 O 0.534 0.315 0.588
O8 O 0.606 0.500 0.345
O9 O 0.718 0.000 0.795
O10 O 0.816 0.500 0.074
O11 O 0.942 0.000 0.491
O12 O 0.975 0.182 0.242
# Total moment = 0.36 μB/atom
# Volume = 12.85 Å³ per atom
# DFT total energy = -169.0 eV/cell
# Calculated formation energy = -2337 meV/atom
# Energy relative to the lowest polymorph listed for this composition = 0.07 eV/f.u.
# Total energy after the MP2020 corrections = -7.277 eV/atom

(5)
# Na5Mn2PC4O16, optimized geometry, DFT GGA+U
data_Na5Mn2PC4O16
_cell_length_a 13.884
_cell_length_b 14.129
_cell_length_c 9.898
_cell_angle_alpha 90.00
_cell_angle_beta 133.43
_cell_angle_gamma 90.00
_symmetry_space_group_name_H-M 'C 1 2/c 1'
_symmetry_Int_Tables_number 15
_symmetry_space_group_name_Hall '-C 2yc'
loop_
_atom_site_label
_atom_site_type_symbol
_atom_site_fract_x
_atom_site_fract_y
_atom_site_fract_z
Na1 Na 0.000 0.084 0.250
Na2 Na 0.213 0.128 0.162
Na3 Na 0.214 0.126 0.758
Mn1 Mn 0.000 0.500 0.000
Mn2 Mn 0.250 0.250 0.500
P1 P 0.000 0.125 0.750
C1 C 0.001 0.288 0.069
C2 C 0.185 0.464 0.440
O1 O 0.002 0.061 0.624
O2 O 0.047 0.362 0.537
O3 O 0.082 0.226 0.464
O4 O 0.123 0.478 0.963
O5 O 0.127 0.186 0.874
O6 O 0.127 0.273 0.199
O7 O 0.178 0.479 0.306
O8 O 0.243 0.104 0.442
# Total moment = 0.31 μB/atom
# Volume = 12.59 Å³ per atom
# DFT total energy = -760.9 eV/cell
# Calculated formation energy = -2075 meV/atom
# Energy relative to the lowest polymorph listed for this composition = 0.00 eV/f.u.
# Total energy after the MP2020 corrections = -7.305 eV/atom

(6)
# Na3MnPCO7, optimized geometry, DFT GGA+U
data_Na3MnPCO7
_cell_length_a 5.206
_cell_length_b 6.825
_cell_length_c 9.093
_cell_angle_alpha 90.00
_cell_angle_beta 90.08
_cell_angle_gamma 90.00
_symmetry_space_group_name_H-M 'P 1 21/m 1'
_symmetry_Int_Tables_number 11
_symmetry_space_group_name_Hall '-P 2yb'
loop_
_atom_site_label
_atom_site_type_symbol
_atom_site_fract_x
_atom_site_fract_y
_atom_site_fract_z
Na1 Na 0.240 0.250 0.086
Na2 Na 0.250 0.502 0.743
Mn1 Mn 0.219 0.750 0.361
P1 P 0.299 0.250 0.413
C1 C 0.259 0.750 0.061
O1 O 0.030 0.750 0.119
O2 O 0.182 0.250 0.570
O3 O 0.215 0.067 0.322
O4 O 0.287 0.750 0.919
O5 O 0.401 0.750 0.571
O6 O 0.459 0.750 0.147
# Total moment = 0.38 μB/atom
# Volume = 12.43 Å³ per atom
# DFT total energy = -173.3 eV/cell
# Calculated formation energy = -2365 meV/atom
# Energy relative to the lowest polymorph listed for this composition = 0.00 eV/f.u.
# Total energy after the MP2020 corrections = -7.165 eV/atom

What did the second record say?
# NaMnPCO7, optimized geometry, DFT GGA+U
data_NaMnPCO7
_cell_length_a 8.131
_cell_length_b 8.146
_cell_length_c 9.161
_cell_angle_alpha 91.36
_cell_angle_beta 91.49
_cell_angle_gamma 100.67
_symmetry_space_group_name_H-M 'P -1'
_symmetry_Int_Tables_number 2
_symmetry_space_group_name_Hall '-P 1'
loop_
_atom_site_label
_atom_site_type_symbol
_atom_site_fract_x
_atom_site_fract_y
_atom_site_fract_z
Na1 Na 0.146 0.101 0.255
Na2 Na 0.150 0.604 0.745
Mn1 Mn 0.239 0.988 0.845
Mn2 Mn 0.274 0.522 0.160
P1 P 0.017 0.269 0.934
P2 P 0.485 0.237 0.067
C1 C 0.240 0.486 0.421
C2 C 0.263 0.008 0.582
O1 O 0.059 0.805 0.923
O2 O 0.075 0.132 0.837
O3 O 0.111 0.668 0.168
O4 O 0.144 0.392 0.316
O5 O 0.148 0.897 0.647
O6 O 0.164 0.415 0.975
O7 O 0.222 0.466 0.552
O8 O 0.276 0.019 0.449
O9 O 0.339 0.089 0.026
O10 O 0.352 0.600 0.360
O11 O 0.359 0.104 0.681
O12 O 0.381 0.823 0.835
O13 O 0.417 0.359 0.172
O14 O 0.443 0.685 0.073
# Total moment = 0.27 μB/atom
# Volume = 13.54 Å³ per atom
# DFT total energy = -308.7 eV/cell
# Calculated formation energy = -2172 meV/atom
# Energy relative to the lowest polymorph listed for this composition = 0.11 eV/f.u.
# Total energy after the MP2020 corrections = -7.605 eV/atom

Question: Among the records above, which one has the highest DFT total energy?
Answer: Na5Mn2P2C2O14

Question: What is the total energy after the MP2020 corrections in the fifth record?
Answer: -7.305 eV/atom